Material: Na3Mg2Ti2P3S3O24
Method: DFT, PBE
State: optimized geometry

Results
The magnetic moment comes out at 0.00 μB per formula unit. As for the calculated formation energy: -2.649 eV per atom.

abc: 8.6572 8.6799 22.4032
angles: 90.00 90.12 119.88
Last column: nearest neighbours and their distance in Å.
Space group P1 (No. 1)
Unique sites:
Na  0.0000  0.0000  0.0000 x1  6 O 2.39-2.64
Na  0.0050  0.0136  0.5010 x1  5 O 2.38-2.59
Na  0.3210  0.6564  0.1692 x1  6 O 2.50-2.65
Na  0.3283  0.6576  0.6688 x1  6 O 2.52-2.63
Na  0.3638  0.0013  0.7540 x1  4 O 2.33-2.45
Na  0.6304  0.0012  0.2542 x1  4 O 2.32-2.45
Na  0.6595  0.3320  0.3371 x1  6 O 2.56-2.61
Na  0.6709  0.3415  0.8375 x1  6 O 2.56-2.64
Na  0.6910  0.6689  0.4196 x1  4 O 2.30-2.48
Mg  0.0043  0.0120  0.3583 x1  6 O 2.00-2.13
Mg  0.3277  0.6620  0.3205 x1  6 O 1.98-2.20
Mg  0.3308  0.6649  0.8201 x1  6 O 2.02-2.17
Mg  0.6650  0.3405  0.1859 x1  6 O 1.96-2.16
Mg  0.6691  0.3400  0.6862 x1  6 O 1.96-2.15
Mg  0.9989  0.0000  0.8582 x1  6 O 2.04-2.11
Ti  0.0020  0.0017  0.1443 x1  6 O 1.90-2.08
Ti  0.3271  0.6763  0.0242 x1  6 O 1.85-2.05
Ti  0.3377  0.6625  0.5238 x1  6 O 1.87-2.08
Ti  0.6543  0.3185  0.4875 x1  5 O 1.86-2.03
Ti  0.6547  0.3263  0.9871 x1  6 O 1.88-2.09
Ti  0.9940  0.0018  0.6446 x1  6 O 1.90-2.07
P  0.3303  0.3748  0.4206 x1  4 O 1.51-1.58
P  0.3312  0.9605  0.9190 x1  4 O 1.52-1.58
P  0.3722  0.0384  0.5896 x1  4 O 1.51-1.57
P  0.3755  0.3400  0.0876 x1  4 O 1.50-1.58
P  0.6190  0.9598  0.4192 x1  4 O 1.53-1.57
P  0.6622  0.0434  0.0888 x1  4 O 1.51-1.57
P  0.6639  0.6213  0.5871 x1  4 O 1.50-1.58
P  0.9505  0.6197  0.0872 x1  4 O 1.50-1.58
P  0.9551  0.3388  0.5878 x1  4 O 1.50-1.58
S  0.0384  0.3782  0.9210 x1  4 O 1.47-1.50
S  0.0398  0.6650  0.4208 x1  4 O 1.46-1.51
S  0.2859  0.0010  0.2533 x1  4 O 1.46-1.51
S  0.2858  0.2918  0.7533 x1  4 O 1.47-1.51
S  0.6194  0.6654  0.9212 x1  4 O 1.47-1.51
S  0.7094  0.0015  0.7536 x1  4 O 1.47-1.51
S  0.7091  0.7089  0.2537 x1  4 O 1.47-1.51
S  0.9929  0.7089  0.7535 x1  4 O 1.46-1.52
S  0.9985  0.2920  0.2527 x1  4 O 1.47-1.51
O  0.0149  0.8220  0.4159 x1  1 S 1.49
O  0.0184  0.1997  0.9166 x1  1 S 1.47
O  0.0209  0.2023  0.1985 x1  1 S 1.51
O  0.0229  0.8259  0.6995 x1  1 S 1.52
O  0.1153  0.4845  0.8670 x1  1 S 1.47
O  0.1152  0.6352  0.3667 x1  1 S 1.46
O  0.1416  0.6494  0.0761 x1  1 P 1.56
O  0.1426  0.4984  0.5762 x1  1 P 1.54
O  0.1491  0.6911  0.4746 x1  1 S 1.48
O  0.1509  0.4646  0.9747 x1  1 S 1.49
O  0.1584  0.4682  0.2573 x1  1 S 1.47
O  0.1597  0.6979  0.7570 x1  1 S 1.50
O  0.1661  0.9798  0.9183 x1  1 P 1.52
O  0.1675  0.1914  0.4180 x1  1 P 1.51
O  0.1743  0.2028  0.6988 x1  1 S 1.51
O  0.1748  0.9796  0.1987 x1  1 S 1.51
O  0.1845  0.0235  0.5947 x1  1 P 1.57
O  0.1866  0.1677  0.0941 x1  1 P 1.58
O  0.2030  0.0246  0.3068 x1  1 S 1.46
O  0.2050  0.1800  0.8065 x1  1 S 1.48
O  0.3019  0.4683  0.7579 x1  1 S 1.47
O  0.3041  0.8395  0.2559 x1  1 S 1.49
O  0.3087  0.4725  0.4763 x1  1 P 1.57
O  0.3123  0.8388  0.9741 x1  1 P 1.58
O  0.3464  0.4978  0.0750 x1  1 P 1.54
O  0.3461  0.8534  0.5764 x1  1 P 1.54
O  0.3678  0.8879  0.8622 x1  1 P 1.52
O  0.3751  0.4941  0.3661 x1  1 P 1.52
O  0.4602  0.3025  0.0317 x1  1 P 1.57
O  0.4605  0.1619  0.5338 x1  1 P 1.57
O  0.4636  0.3059  0.7472 x1  1 S 1.49
O  0.4669  0.1587  0.2477 x1  1 S 1.49
O  0.4784  0.1134  0.6462 x1  1 P 1.51
O  0.4837  0.3715  0.1433 x1  1 P 1.50
O  0.5015  0.8548  0.0766 x1  1 P 1.56
O  0.5021  0.1465  0.9313 x1  1 P 1.58
O  0.5020  0.6515  0.5776 x1  1 P 1.56
O  0.5044  0.3632  0.4314 x1  1 P 1.58
O  0.5124  0.6326  0.8669 x1  1 S 1.47
O  0.5129  0.8900  0.3614 x1  1 P 1.53
O  0.5218  0.8366  0.4737 x1  1 P 1.57
O  0.5293  0.8400  0.7563 x1  1 S 1.49
O  0.5315  0.6880  0.9747 x1  1 S 1.49
O  0.5319  0.6989  0.2561 x1  1 S 1.49
O  0.6274  0.1130  0.1460 x1  1 P 1.51
O  0.6276  0.5121  0.6426 x1  1 P 1.50
O  0.6393  0.5038  0.9290 x1  1 S 1.51
O  0.6408  0.1475  0.4304 x1  1 P 1.56
O  0.6853  0.1588  0.7480 x1  1 S 1.49
O  0.6896  0.5320  0.2475 x1  1 S 1.47
O  0.6945  0.1635  0.0333 x1  1 P 1.56
O  0.6967  0.5437  0.5293 x1  1 P 1.55
O  0.7966  0.8254  0.9167 x1  1 S 1.47
O  0.7981  0.9794  0.6991 x1  1 S 1.51
O  0.7992  0.8271  0.2006 x1  1 S 1.51
O  0.8014  0.9705  0.4172 x1  1 P 1.54
O  0.8120  0.7901  0.3089 x1  1 S 1.48
O  0.8162  0.0254  0.8073 x1  1 S 1.47
O  0.8314  0.0226  0.0946 x1  1 P 1.57
O  0.8309  0.8128  0.5948 x1  1 P 1.58
O  0.8345  0.3057  0.2466 x1  1 S 1.49
O  0.8339  0.5362  0.0311 x1  1 P 1.55
O  0.8345  0.3032  0.5317 x1  1 P 1.56
O  0.8360  0.5320  0.7472 x1  1 S 1.46
O  0.8563  0.5050  0.4275 x1  1 S 1.51
O  0.8588  0.3620  0.9289 x1  1 S 1.50
O  0.8798  0.3702  0.6436 x1  1 P 1.50
O  0.8807  0.5134  0.1433 x1  1 P 1.50
O  0.9668  0.1801  0.3059 x1  1 S 1.47
O  0.9704  0.7926  0.8072 x1  1 S 1.47
O  0.9745  0.1679  0.5942 x1  1 P 1.58
O  0.9749  0.8115  0.0946 x1  1 P 1.58

---

Material: NaMgTiPS2O12
Method: DFT, PBE
State: optimized geometry

Results
The magnetic moment comes out at 0.00 μB per formula unit. As for the calculated formation energy: -2.542 eV per atom.

abc: 14.9070 8.6014 22.4803
angles: 90.00 90.34 90.00
Last column: nearest neighbours and their distance in Å.
Space group Cc (No. 9)
Unique sites:
Na  0.0000  0.0008  0.0000 x4  6 O 2.48-2.62
Na  0.1731  0.4952  0.1664 x4  6 O 2.47-2.64
Na  0.3341  0.0048  0.3335 x4  6 O 2.45-2.62
Mg  0.0044  0.0019  0.8557 x4  6 O 1.95-2.09
Mg  0.1746  0.4983  0.0222 x4  6 O 1.94-2.11
Mg  0.3352  0.0053  0.1892 x4  6 O 1.92-2.08
Ti  0.0045  0.0006  0.6503 x4  6 O 1.89-2.05
Ti  0.1754  0.4816  0.3167 x4  3 O 1.81-2.02
Ti  0.3374  0.0066  0.9835 x4  6 O 1.87-2.04
P  0.1486  0.1390  0.2549 x4  4 O 1.50-1.61
P  0.3188  0.3526  0.4228 x4  4 O 1.49-1.64
P  0.3368  0.2916  0.0886 x4  4 O 1.49-1.62
S  0.0050  0.2918  0.7540 x4  4 O 1.45-1.52
S  0.0263  0.3551  0.4208 x4  4 O 1.45-1.52
S  0.1699  0.2122  0.9200 x4  4 O 1.45-1.53
S  0.1924  0.1457  0.5870 x4  4 O 1.45-1.51
S  0.3591  0.3534  0.7534 x4  4 O 1.45-1.51
S  0.4822  0.1436  0.5872 x4  4 O 1.45-1.51
O  0.0142  0.1879  0.4133 x4  1 S 1.46
O  0.0182  0.1902  0.6992 x4  1 S 1.52
O  0.0670  0.4278  0.3660 x4  1 S 1.51
O  0.0712  0.4236  0.0790 x4  1 S 1.46
O  0.0787  0.3855  0.4740 x4  1 S 1.45
O  0.0871  0.1126  0.1976 x4  1 P 1.59
O  0.0891  0.3856  0.7587 x4  1 S 1.49
O  0.0933  0.1074  0.9131 x4  1 S 1.46
O  0.1020  0.0666  0.5920 x4  1 S 1.51
O  0.1046  0.0769  0.3096 x4  1 P 1.50
O  0.1543  0.3254  0.2602 x4  1 P 1.61
O  0.1570  0.3035  0.9736 x4  1 S 1.45
O  0.1781  0.3120  0.5793 x4  1 S 1.46
O  0.1855  0.3088  0.8659 x4  1 S 1.49
O  0.2339  0.0731  0.5327 x4  1 S 1.51
O  0.2422  0.0765  0.2469 x4  1 P 1.51
O  0.2462  0.1202  0.6403 x4  1 S 1.45
O  0.2543  0.1127  0.9260 x4  1 S 1.53
O  0.2556  0.3825  0.3642 x4  1 P 1.64, 1 Ti 1.81
O  0.2568  0.3967  0.0797 x4  1 P 1.51
O  0.2676  0.4285  0.7585 x4  1 S 1.51
O  0.2735  0.4230  0.4752 x4  1 P 1.49
O  0.3234  0.1707  0.4278 x4  1 P 1.57
O  0.3259  0.1906  0.1421 x4  1 P 1.49
O  0.3487  0.1865  0.7449 x4  1 S 1.46
O  0.3524  0.1827  0.0310 x4  1 P 1.62
O  0.3994  0.4282  0.6989 x4  1 S 1.51
O  0.4103  0.4216  0.4115 x4  1 P 1.51
O  0.4118  0.3822  0.8069 x4  1 S 1.45
O  0.4249  0.1191  0.5323 x4  1 S 1.51
O  0.4255  0.3925  0.0943 x4  1 P 1.59
O  0.4277  0.1058  0.2459 x4  1 S 1.46
O  0.4353  0.0673  0.9250 x4  1 S 1.52
O  0.4415  0.0805  0.6404 x4  1 S 1.45
O  0.4893  0.3188  0.5920 x4  1 S 1.51
O  0.4905  0.3034  0.3065 x4  1 S 1.45